Record 1
A plane-wave DFT calculation with GGA+U was carried out for an optimized crystal structure of Na2Cr4O13.

Calculated values
**Polymorph energy (0 for the lowest one)**: 0.002 eV/atom
**Electronic total energy**: -120.62 eV/f.u.
**ΔE_f**: -1683 meV/atom

Cell: 17.4573 7.2452 9.1707 Å, 90.00 92.27 90.00°
Element x y z (fractional)
Na  0.0549  0.1740  0.3219
Na  0.0549  0.3260  0.8219
Na  0.4331  0.6451  0.1823
Na  0.4331  0.8549  0.6823
Na  0.5669  0.1451  0.3177
Na  0.5669  0.3549  0.8177
Na  0.9451  0.6740  0.1781
Na  0.9451  0.8260  0.6781
Cr  0.0841  0.6729  0.4448
Cr  0.0841  0.8271  0.9448
Cr  0.2438  0.1934  0.0866
Cr  0.2438  0.3066  0.5866
Cr  0.2513  0.6464  0.8236
Cr  0.2513  0.8536  0.3236
Cr  0.4187  0.1763  0.0395
Cr  0.4187  0.3237  0.5395
Cr  0.5813  0.6763  0.4605
Cr  0.5813  0.8237  0.9605
Cr  0.7487  0.1464  0.6764
Cr  0.7487  0.3536  0.1764
Cr  0.7562  0.6934  0.4134
Cr  0.7562  0.8066  0.9134
Cr  0.9159  0.1729  0.0552
Cr  0.9159  0.3271  0.5552
O  0.0105  0.6868  0.9298
O  0.0105  0.8132  0.4298
O  0.0742  0.5123  0.3212
O  0.0742  0.9877  0.8212
O  0.0880  0.5833  0.6075
O  0.0880  0.9167  0.1075
O  0.1701  0.6924  0.9194
O  0.1701  0.8076  0.4194
O  0.1731  0.1663  0.5649
O  0.1731  0.3337  0.0649
O  0.2372  0.0823  0.2573
O  0.2372  0.4177  0.7573
O  0.2416  0.0449  0.9585
O  0.2416  0.4550  0.4585
O  0.2617  0.7140  0.1915
O  0.2617  0.7860  0.6915
O  0.3284  0.6509  0.9245
O  0.3284  0.8491  0.4245
O  0.3318  0.1940  0.5847
O  0.3318  0.3060  0.0847
O  0.4147  0.1271  0.8669
O  0.4147  0.3729  0.3669
O  0.4242  0.5123  0.6358
O  0.4242  0.9877  0.1358
O  0.4923  0.1895  0.5777
O  0.4923  0.3105  0.0777
O  0.5077  0.6895  0.9223
O  0.5077  0.8105  0.4223
O  0.5758  0.0123  0.8642
O  0.5758  0.4877  0.3642
O  0.5853  0.6271  0.6331
O  0.5853  0.8729  0.1331
O  0.6682  0.6940  0.9153
O  0.6682  0.8060  0.4153
O  0.6716  0.1509  0.5755
O  0.6716  0.3491  0.0755
O  0.7383  0.2140  0.3085
O  0.7383  0.2860  0.8085
O  0.7584  0.5450  0.5415
O  0.7584  0.9550  0.0415
O  0.7628  0.5823  0.2427
O  0.7628  0.9177  0.7427
O  0.8269  0.6663  0.9351
O  0.8269  0.8337  0.4351
O  0.8299  0.1924  0.5806
O  0.8299  0.3076  0.0806
O  0.9120  0.0833  0.8925
O  0.9120  0.4167  0.3925
O  0.9258  0.0123  0.1788
O  0.9258  0.4877  0.6788
O  0.9895  0.1868  0.5702
O  0.9895  0.3132  0.0702

Record 2
A plane-wave DFT calculation with GGA+U was carried out for an optimized crystal structure of NaCr4O12.

Calculated values
**Electronic total energy**: -110.76 eV/f.u.
**ΔE_f**: -1629 meV/atom

Cell: 16.0611 16.0611 16.0611 Å, 148.26 148.26 45.50°
Element x y z (fractional)
Na  0.1250  0.3750  0.7500
Na  0.3750  0.1250  0.2500
Na  0.6250  0.8750  0.7500
Na  0.8750  0.6250  0.2500
Cr  0.0649  0.0944  0.2567
Cr  0.0944  0.3376  0.0294
Cr  0.1624  0.4056  0.4706
Cr  0.1918  0.9351  0.5294
Cr  0.3082  0.8376  0.7433
Cr  0.3376  0.8082  0.2433
Cr  0.4056  0.4351  0.2433
Cr  0.4351  0.6918  0.0294
Cr  0.5649  0.3082  0.9706
Cr  0.5944  0.5649  0.7567
Cr  0.6624  0.1918  0.7567
Cr  0.6918  0.1624  0.2567
Cr  0.8082  0.0649  0.4706
Cr  0.8376  0.5944  0.5294
Cr  0.9056  0.6624  0.9706
Cr  0.9351  0.9056  0.7433
O  0.0058  0.5254  0.8972
O  0.0254  0.5058  0.3972
O  0.0361  0.7861  0.2500
O  0.0704  0.2500  0.3204
O  0.0943  0.1681  0.4370
O  0.1085  0.0058  0.9804
O  0.1282  0.1085  0.6028
O  0.1572  0.7311  0.5629
O  0.1681  0.2311  0.0738
O  0.2139  0.9639  0.2500
O  0.2311  0.6572  0.0630
O  0.2500  0.4296  0.1796
O  0.2500  0.9296  0.6796
O  0.2689  0.3319  0.4262
O  0.2861  0.5361  0.7500
O  0.3319  0.4057  0.0630
O  0.3428  0.9057  0.5738
O  0.3718  0.9746  0.9804
O  0.3915  0.3718  0.8972
O  0.4057  0.8428  0.0738
O  0.4296  0.7500  0.1796
O  0.4639  0.7139  0.7500
O  0.4746  0.8718  0.4804
O  0.4942  0.3915  0.5196
O  0.5058  0.6085  0.4804
O  0.5254  0.1282  0.5196
O  0.5361  0.2861  0.2500
O  0.5704  0.2500  0.8204
O  0.5943  0.1572  0.9262
O  0.6085  0.6282  0.1028
O  0.6282  0.0254  0.0196
O  0.6572  0.0943  0.4262
O  0.6681  0.5943  0.9370
O  0.7139  0.4639  0.2500
O  0.7311  0.6681  0.5738
O  0.7500  0.0704  0.3204
O  0.7500  0.5704  0.8204
O  0.7689  0.3428  0.9370
O  0.7861  0.0361  0.7500
O  0.8319  0.7689  0.9262
O  0.8428  0.2689  0.4370
O  0.8718  0.8915  0.3972
O  0.8915  0.9942  0.0196
O  0.9057  0.8319  0.5629
O  0.9296  0.7500  0.6796
O  0.9639  0.2139  0.7500
O  0.9746  0.4942  0.6028
O  0.9942  0.4746  0.1028

Record 3
A plane-wave DFT calculation with GGA+U was carried out for an optimized crystal structure of Na2Cr2O5.

Calculated values
**Electronic total energy**: -56.83 eV/f.u.
**ΔE_f**: -1952 meV/atom

Cell: 8.0483 8.0483 8.0483 Å, 57.52 139.50 140.95°
Element x y z (fractional)
Na  0.0315  0.1054  0.1369
Na  0.0315  0.3946  0.4261
Na  0.9685  0.6054  0.5739
Na  0.9685  0.8946  0.8631
Cr  0.4676  0.7954  0.1722
Cr  0.4882  0.4882  0.0000
Cr  0.4882  0.9882  0.5000
Cr  0.6232  0.2954  0.8278
O  0.0172  0.6340  0.8832
O  0.3988  0.1119  0.5759
O  0.3988  0.3229  0.7869
O  0.4908  0.2209  0.2365
O  0.4908  0.7543  0.7699
O  0.5360  0.6119  0.2131
O  0.5360  0.8229  0.4241
O  0.7508  0.1340  0.1168
O  0.9844  0.2543  0.7635
O  0.9844  0.7209  0.2301

Record 4
A plane-wave DFT calculation with GGA+U was carried out for an optimized crystal structure of Na2Cr4O13.

Calculated values
**Polymorph energy (0 for the lowest one)**: 0.035 eV/atom
**Electronic total energy**: -119.99 eV/f.u.
**ΔE_f**: -1649 meV/atom

Cell: 7.6974 20.0105 9.6849 Å, 90.00 123.18 90.00°
Element x y z (fractional)
Na  0.1051  0.1024  0.4067
Na  0.1051  0.3976  0.9067
Na  0.3848  0.7398  0.4868
Na  0.3848  0.7602  0.9868
Na  0.6152  0.2398  0.0132
Na  0.6152  0.2602  0.5132
Na  0.8949  0.6024  0.0933
Na  0.8949  0.8976  0.5933
Cr  0.0591  0.1072  0.8002
Cr  0.0591  0.3928  0.3002
Cr  0.1117  0.2273  0.0452
Cr  0.1117  0.2727  0.5452
Cr  0.2817  0.5533  0.6378
Cr  0.2817  0.9467  0.1378
Cr  0.4316  0.5792  0.1913
Cr  0.4316  0.9208  0.6913
Cr  0.5684  0.0792  0.3087
Cr  0.5684  0.4208  0.8087
Cr  0.7183  0.0533  0.8622
Cr  0.7183  0.4467  0.3622
Cr  0.8883  0.7273  0.4548
Cr  0.8883  0.7727  0.9548
Cr  0.9409  0.6072  0.6998
Cr  0.9409  0.8928  0.1998
O  0.0747  0.5437  0.6679
O  0.0747  0.9563  0.1679
O  0.0884  0.2025  0.1942
O  0.0884  0.2975  0.6942
O  0.1023  0.6544  0.8510
O  0.1023  0.8456  0.3510
O  0.1117  0.7459  0.1080
O  0.1117  0.7541  0.6080
O  0.1948  0.1565  0.9746
O  0.1948  0.3435  0.4746
O  0.1964  0.5885  0.4625
O  0.1964  0.9115  0.9625
O  0.2173  0.0725  0.7640
O  0.2173  0.4275  0.2640
O  0.2448  0.5306  0.0570
O  0.2448  0.9694  0.5570
O  0.2938  0.2163  0.6080
O  0.2938  0.2837  0.1080
O  0.3489  0.6312  0.2722
O  0.3489  0.8688  0.7722
O  0.3722  0.0255  0.1422
O  0.3722  0.4745  0.6422
O  0.4552  0.5994  0.7826
O  0.4552  0.9006  0.2826
O  0.4565  0.1182  0.3880
O  0.4565  0.3818  0.8880
O  0.5435  0.6182  0.1120
O  0.5435  0.8818  0.6120
O  0.5448  0.0994  0.7174
O  0.5448  0.4006  0.2174
O  0.6278  0.5255  0.3578
O  0.6278  0.9745  0.8578
O  0.6511  0.1312  0.2278
O  0.6511  0.3688  0.7278
O  0.7062  0.7163  0.8920
O  0.7062  0.7837  0.3920
O  0.7552  0.0306  0.4430
O  0.7552  0.4694  0.9430
O  0.7827  0.5725  0.7360
O  0.7827  0.9275  0.2360
O  0.8036  0.0885  0.0375
O  0.8036  0.4115  0.5375
O  0.8052  0.6565  0.5254
O  0.8052  0.8435  0.0254
O  0.8883  0.2459  0.3920
O  0.8883  0.2541  0.8920
O  0.8977  0.1544  0.6490
O  0.8977  0.3456  0.1490
O  0.9116  0.7025  0.3058
O  0.9116  0.7975  0.8058
O  0.9253  0.0437  0.8321
O  0.9253  0.4563  0.3321

Record 5
A plane-wave DFT calculation with GGA+U was carried out for an optimized crystal structure of Na3CrO4.

Calculated values
**Electronic total energy**: -43.53 eV/f.u.
**ΔE_f**: -1858 meV/atom

Cell: 7.9091 7.9091 7.9091 Å, 90.00 90.00 90.00°
Element x y z (fractional)
Na  0.0051  0.0051  0.0051
Na  0.2146  0.2146  0.2146
Na  0.2420  0.7580  0.2580
Na  0.2580  0.2420  0.7580
Na  0.2854  0.7854  0.7146
Na  0.4949  0.9949  0.5051
Na  0.5051  0.4949  0.9949
Na  0.7146  0.2854  0.7854
Na  0.7420  0.7420  0.7420
Na  0.7580  0.2580  0.2420
Na  0.7854  0.7146  0.2854
Na  0.9949  0.5051  0.4949
Cr  0.0022  0.5022  0.9978
Cr  0.4978  0.4978  0.4978
Cr  0.5022  0.9978  0.0022
Cr  0.9978  0.0022  0.5022
O  0.0293  0.5581  0.2093
O  0.0581  0.2907  0.9707
O  0.1266  0.6266  0.8734
O  0.2093  0.0293  0.5581
O  0.2907  0.9707  0.0581
O  0.3734  0.3734  0.3734
O  0.4419  0.7093  0.4707
O  0.4707  0.4419  0.7093
O  0.5293  0.9419  0.7907
O  0.5581  0.2093  0.0293
O  0.6266  0.8734  0.1266
O  0.7093  0.4707  0.4419
O  0.7907  0.5293  0.9419
O  0.8734  0.1266  0.6266
O  0.9419  0.7907  0.5293
O  0.9707  0.0581  0.2907

Question: Which of these has the lowest ΔE_f?
Answer: Na2Cr2O5

Question: ΔE_f of number 5 (Na3CrO4)?
Answer: -1858 meV/atom

What did the first record say?
A plane-wave DFT calculation with GGA+U was carried out for an optimized crystal structure of Na2Cr4O13.

Calculated values
**Polymorph energy (0 for the lowest one)**: 0.002 eV/atom
**Electronic total energy**: -120.62 eV/f.u.
**ΔE_f**: -1683 meV/atom

Cell: 17.4573 7.2452 9.1707 Å, 90.00 92.27 90.00°
Element x y z (fractional)
Na  0.0549  0.1740  0.3219
Na  0.0549  0.3260  0.8219
Na  0.4331  0.6451  0.1823
Na  0.4331  0.8549  0.6823
Na  0.5669  0.1451  0.3177
Na  0.5669  0.3549  0.8177
Na  0.9451  0.6740  0.1781
Na  0.9451  0.8260  0.6781
Cr  0.0841  0.6729  0.4448
Cr  0.0841  0.8271  0.9448
Cr  0.2438  0.1934  0.0866
Cr  0.2438  0.3066  0.5866
Cr  0.2513  0.6464  0.8236
Cr  0.2513  0.8536  0.3236
Cr  0.4187  0.1763  0.0395
Cr  0.4187  0.3237  0.5395
Cr  0.5813  0.6763  0.4605
Cr  0.5813  0.8237  0.9605
Cr  0.7487  0.1464  0.6764
Cr  0.7487  0.3536  0.1764
Cr  0.7562  0.6934  0.4134
Cr  0.7562  0.8066  0.9134
Cr  0.9159  0.1729  0.0552
Cr  0.9159  0.3271  0.5552
O  0.0105  0.6868  0.9298
O  0.0105  0.8132  0.4298
O  0.0742  0.5123  0.3212
O  0.0742  0.9877  0.8212
O  0.0880  0.5833  0.6075
O  0.0880  0.9167  0.1075
O  0.1701  0.6924  0.9194
O  0.1701  0.8076  0.4194
O  0.1731  0.1663  0.5649
O  0.1731  0.3337  0.0649
O  0.2372  0.0823  0.2573
O  0.2372  0.4177  0.7573
O  0.2416  0.0449  0.9585
O  0.2416  0.4550  0.4585
O  0.2617  0.7140  0.1915
O  0.2617  0.7860  0.6915
O  0.3284  0.6509  0.9245
O  0.3284  0.8491  0.4245
O  0.3318  0.1940  0.5847
O  0.3318  0.3060  0.0847
O  0.4147  0.1271  0.8669
O  0.4147  0.3729  0.3669
O  0.4242  0.5123  0.6358
O  0.4242  0.9877  0.1358
O  0.4923  0.1895  0.5777
O  0.4923  0.3105  0.0777
O  0.5077  0.6895  0.9223
O  0.5077  0.8105  0.4223
O  0.5758  0.0123  0.8642
O  0.5758  0.4877  0.3642
O  0.5853  0.6271  0.6331
O  0.5853  0.8729  0.1331
O  0.6682  0.6940  0.9153
O  0.6682  0.8060  0.4153
O  0.6716  0.1509  0.5755
O  0.6716  0.3491  0.0755
O  0.7383  0.2140  0.3085
O  0.7383  0.2860  0.8085
O  0.7584  0.5450  0.5415
O  0.7584  0.9550  0.0415
O  0.7628  0.5823  0.2427
O  0.7628  0.9177  0.7427
O  0.8269  0.6663  0.9351
O  0.8269  0.8337  0.4351
O  0.8299  0.1924  0.5806
O  0.8299  0.3076  0.0806
O  0.9120  0.0833  0.8925
O  0.9120  0.4167  0.3925
O  0.9258  0.0123  0.1788
O  0.9258  0.4877  0.6788
O  0.9895  0.1868  0.5702
O  0.9895  0.3132  0.0702

Please write out number 1 again, unchanged.
A plane-wave DFT calculation with GGA+U was carried out for an optimized crystal structure of Na2Cr4O13.

Calculated values
**Polymorph energy (0 for the lowest one)**: 0.002 eV/atom
**Electronic total energy**: -120.62 eV/f.u.
**ΔE_f**: -1683 meV/atom

Cell: 17.4573 7.2452 9.1707 Å, 90.00 92.27 90.00°
Element x y z (fractional)
Na  0.0549  0.1740  0.3219
Na  0.0549  0.3260  0.8219
Na  0.4331  0.6451  0.1823
Na  0.4331  0.8549  0.6823
Na  0.5669  0.1451  0.3177
Na  0.5669  0.3549  0.8177
Na  0.9451  0.6740  0.1781
Na  0.9451  0.8260  0.6781
Cr  0.0841  0.6729  0.4448
Cr  0.0841  0.8271  0.9448
Cr  0.2438  0.1934  0.0866
Cr  0.2438  0.3066  0.5866
Cr  0.2513  0.6464  0.8236
Cr  0.2513  0.8536  0.3236
Cr  0.4187  0.1763  0.0395
Cr  0.4187  0.3237  0.5395
Cr  0.5813  0.6763  0.4605
Cr  0.5813  0.8237  0.9605
Cr  0.7487  0.1464  0.6764
Cr  0.7487  0.3536  0.1764
Cr  0.7562  0.6934  0.4134
Cr  0.7562  0.8066  0.9134
Cr  0.9159  0.1729  0.0552
Cr  0.9159  0.3271  0.5552
O  0.0105  0.6868  0.9298
O  0.0105  0.8132  0.4298
O  0.0742  0.5123  0.3212
O  0.0742  0.9877  0.8212
O  0.0880  0.5833  0.6075
O  0.0880  0.9167  0.1075
O  0.1701  0.6924  0.9194
O  0.1701  0.8076  0.4194
O  0.1731  0.1663  0.5649
O  0.1731  0.3337  0.0649
O  0.2372  0.0823  0.2573
O  0.2372  0.4177  0.7573
O  0.2416  0.0449  0.9585
O  0.2416  0.4550  0.4585
O  0.2617  0.7140  0.1915
O  0.2617  0.7860  0.6915
O  0.3284  0.6509  0.9245
O  0.3284  0.8491  0.4245
O  0.3318  0.1940  0.5847
O  0.3318  0.3060  0.0847
O  0.4147  0.1271  0.8669
O  0.4147  0.3729  0.3669
O  0.4242  0.5123  0.6358
O  0.4242  0.9877  0.1358
O  0.4923  0.1895  0.5777
O  0.4923  0.3105  0.0777
O  0.5077  0.6895  0.9223
O  0.5077  0.8105  0.4223
O  0.5758  0.0123  0.8642
O  0.5758  0.4877  0.3642
O  0.5853  0.6271  0.6331
O  0.5853  0.8729  0.1331
O  0.6682  0.6940  0.9153
O  0.6682  0.8060  0.4153
O  0.6716  0.1509  0.5755
O  0.6716  0.3491  0.0755
O  0.7383  0.2140  0.3085
O  0.7383  0.2860  0.8085
O  0.7584  0.5450  0.5415
O  0.7584  0.9550  0.0415
O  0.7628  0.5823  0.2427
O  0.7628  0.9177  0.7427
O  0.8269  0.6663  0.9351
O  0.8269  0.8337  0.4351
O  0.8299  0.1924  0.5806
O  0.8299  0.3076  0.0806
O  0.9120  0.0833  0.8925
O  0.9120  0.4167  0.3925
O  0.9258  0.0123  0.1788
O  0.9258  0.4877  0.6788
O  0.9895  0.1868  0.5702
O  0.9895  0.3132  0.0702